Entry 1:
VASP calculation (r2SCAN) on a relaxed structure of ReSi.

POSCAR file:
```
ReSi
1.0
4.774 0.000 0.000
0.000 4.774 0.000
0.000 0.000 4.774
Si Re
4 4
direct
0.655 0.155 0.345
0.845 0.845 0.845
0.345 0.655 0.155
0.155 0.345 0.655
0.866 0.634 0.366
0.366 0.866 0.634
0.634 0.366 0.866
0.134 0.134 0.134
```

Calculated values
For the magnetic moment, the calculation gives 0.00 μB per atom. As for the energy relative to the elements: -6.86 kcal/mol of atoms.

---

Entry 2:
VASP calculation (r2SCAN) on a relaxed structure of SmRe4Si2.

POSCAR file:
```
SmRe4Si2
1.0
-7.402 0.397 0.057
-0.270 -5.713 4.716
0.165 2.625 3.190
Si Re Sm
4 8 2
direct
0.790 0.210 0.000
0.210 0.790 0.000
0.710 0.710 0.500
0.290 0.290 0.500
0.093 0.342 0.000
0.342 0.093 0.000
0.658 0.907 0.000
0.842 0.407 0.500
0.593 0.158 0.500
0.407 0.842 0.500
0.158 0.593 0.500
0.907 0.658 0.000
0.000 0.000 0.500
0.500 0.500 0.000
```

Calculated values
For the magnetic moment, the calculation gives 0.00 μB per atom. As for the energy relative to the elements: -11.54 kcal/mol of atoms.

---

Entry 3:
VASP calculation (r2SCAN) on a relaxed structure of ThRe4Si2.

POSCAR file:
```
ThRe4Si2
1.0
-3.615 0.691 1.962
-2.595 -6.206 -2.596
5.406 -7.536 12.610
Re Si Th
16 8 4
direct
0.000 0.000 0.206
0.000 0.142 0.051
0.000 0.569 0.580
0.000 0.739 0.321
0.500 0.358 0.552
0.000 0.858 0.948
0.500 0.500 0.706
0.000 0.431 0.420
0.500 0.069 0.920
0.500 0.642 0.449
0.000 0.261 0.679
0.000 0.000 0.794
0.500 0.931 0.080
0.500 0.761 0.821
0.500 0.239 0.179
0.500 0.500 0.294
0.500 0.674 0.974
0.500 0.193 0.773
0.500 0.807 0.227
0.000 0.826 0.474
0.000 0.307 0.273
0.500 0.326 0.026
0.000 0.693 0.727
0.000 0.174 0.526
0.000 0.411 0.883
0.500 0.911 0.617
0.000 0.589 0.117
0.500 0.089 0.383
```

Calculated values
For the magnetic moment, the calculation gives 0.00 μB per atom. As for the energy relative to the elements: -12.62 kcal/mol of atoms.

---

Entry 4:
VASP calculation (r2SCAN) on a relaxed structure of TiReSi.

POSCAR file:
```
TiReSi
1.0
3.389 -5.870 0.000
3.389 5.870 0.000
0.000 0.000 3.236
Re Si Ti
3 3 3
direct
0.000 0.262 0.000
0.262 0.000 0.000
0.738 0.738 0.000
0.333 0.667 0.000
0.000 0.000 0.500
0.667 0.333 0.000
0.597 0.000 0.500
0.403 0.403 0.500
0.000 0.597 0.500
```

Calculated values
For the magnetic moment, the calculation gives 0.00 μB per atom. As for the energy relative to the elements: -18.42 kcal/mol of atoms.

---

Entry 5:
VASP calculation (r2SCAN) on a relaxed structure of YRe4Si2.

POSCAR file:
```
YRe4Si2
1.0
4.133 0.000 0.000
0.000 7.365 0.000
0.000 0.000 7.365
Y Si Re
2 4 8
direct
0.500 0.000 0.000
0.000 0.500 0.500
0.000 0.790 0.210
0.500 0.290 0.290
0.500 0.710 0.710
0.000 0.210 0.790
0.000 0.342 0.094
0.000 0.906 0.658
0.500 0.842 0.406
0.500 0.594 0.158
0.000 0.658 0.906
0.000 0.094 0.342
0.500 0.158 0.594
0.500 0.406 0.842
```

Calculated values
For the magnetic moment, the calculation gives 0.00 μB per atom. As for the energy relative to the elements: -12.31 kcal/mol of atoms.

---

Entry 6:
VASP calculation (r2SCAN) on a relaxed structure of Ta3Re.

POSCAR file:
```
Ta3Re
1.0
0.000 3.238 3.238
3.238 0.000 3.238
3.238 3.238 0.000
Ta Re
3 1
direct
0.000 0.000 0.000
0.500 0.500 0.500
0.250 0.250 0.250
0.750 0.750 0.750
```

Calculated values
For the magnetic moment, the calculation gives 0.00 μB per atom. As for the energy relative to the elements: -5.70 kcal/mol of atoms.

---

Entry 7:
VASP calculation (r2SCAN) on a relaxed structure of Ta2ReTc.

POSCAR file:
```
Ta2ReTc
1.0
0.000 3.183 3.183
3.183 0.000 3.183
3.183 3.183 0.000
Tc Re Ta
1 1 2
direct
0.000 0.000 0.000
0.500 0.500 0.500
0.250 0.250 0.250
0.750 0.750 0.750
```

Calculated values
For the magnetic moment, the calculation gives 0.00 μB per atom. As for the energy relative to the elements: -12.53 kcal/mol of atoms.

---

Entry 8:
VASP calculation (r2SCAN) on a relaxed structure of Ta2TiRe.

POSCAR file:
```
Ta2TiRe
1.0
0.771 0.486 4.461
-2.631 2.770 2.477
-2.929 -1.741 3.020
Ta Ti Re
2 1 1
direct
0.250 0.250 0.250
0.750 0.750 0.750
0.000 0.000 0.000
0.500 0.500 0.500
```

Calculated values
For the magnetic moment, the calculation gives 0.30 μB per atom. As for the energy relative to the elements: -5.78 kcal/mol of atoms.

---

Look up the magnetic moment of the second one.
0.00 μB per atom